Record 1
The following is a PBE calculation of a relaxed structure of KSmEuSbO6, from the Materials Project.

Cell lengths 6.025, 6.025, 6.025 Å; angles 60.00, 60.00, 60.00 degrees
Element x y z (fractional)
K (0.000, 0.000, 0.000)
Sm (0.250, 0.250, 0.250)
Eu (0.500, 0.500, 0.500)
Sb (0.750, 0.750, 0.750)
O (0.516, 0.516, 0.984)
O (0.516, 0.984, 0.516)
O (0.516, 0.984, 0.984)
O (0.984, 0.516, 0.516)
O (0.984, 0.516, 0.984)
O (0.984, 0.984, 0.516)

Computed properties:
The MP2020-corrected energy comes out at -7.623 eV/atom.

Record 2
The following is a PBE calculation of a relaxed structure of KSmEuSbO6, from the Materials Project.

Cell lengths 8.390, 8.438, 8.502 Å; angles 90.00, 90.00, 90.00 degrees
Element x y z (fractional)
K (0.250, 0.250, 0.250)
K (0.250, 0.750, 0.750)
K (0.750, 0.250, 0.250)
K (0.750, 0.750, 0.750)
Sm (0.000, 0.000, 0.000)
Sm (0.000, 0.500, 0.500)
Sm (0.500, 0.000, 0.500)
Sm (0.500, 0.500, 0.000)
Eu (0.250, 0.250, 0.750)
Eu (0.250, 0.750, 0.250)
Eu (0.750, 0.250, 0.750)
Eu (0.750, 0.750, 0.250)
Sb (0.000, 0.000, 0.500)
Sb (0.000, 0.500, 0.000)
Sb (0.500, 0.000, 0.000)
Sb (0.500, 0.500, 0.500)
O (0.034, 0.055, 0.734)
O (0.034, 0.445, 0.766)
O (0.038, 0.733, 0.981)
O (0.038, 0.767, 0.519)
O (0.233, 0.026, 0.463)
O (0.233, 0.474, 0.037)
O (0.267, 0.026, 0.037)
O (0.267, 0.474, 0.463)
O (0.462, 0.733, 0.519)
O (0.462, 0.767, 0.981)
O (0.466, 0.055, 0.766)
O (0.466, 0.445, 0.734)
O (0.534, 0.555, 0.266)
O (0.534, 0.945, 0.234)
O (0.538, 0.233, 0.019)
O (0.538, 0.267, 0.481)
O (0.733, 0.526, 0.537)
O (0.733, 0.974, 0.963)
O (0.767, 0.526, 0.963)
O (0.767, 0.974, 0.537)
O (0.962, 0.233, 0.481)
O (0.962, 0.267, 0.019)
O (0.966, 0.555, 0.234)
O (0.966, 0.945, 0.266)

Computed properties:
The MP2020-corrected energy comes out at -7.674 eV/atom.

Record 3
The following is a PBE calculation of a relaxed structure of KTbEuSbO6, from the Materials Project.

Cell lengths 5.976, 5.976, 5.976 Å; angles 60.00, 60.00, 60.00 degrees
Element x y z (fractional)
K (0.000, 0.000, 0.000)
Tb (0.250, 0.250, 0.250)
Eu (0.500, 0.500, 0.500)
Sb (0.750, 0.750, 0.750)
O (0.512, 0.512, 0.988)
O (0.512, 0.988, 0.512)
O (0.512, 0.988, 0.988)
O (0.988, 0.512, 0.512)
O (0.988, 0.512, 0.988)
O (0.988, 0.988, 0.512)

Computed properties:
The MP2020-corrected energy comes out at -7.667 eV/atom.

Record 4
The following is a PBE calculation of a relaxed structure of KEuSn2O6, from the Materials Project.

Cell lengths 5.798, 5.798, 5.798 Å; angles 60.00, 60.00, 60.00 degrees
Element x y z (fractional)
K (0.000, 0.000, 0.000)
Eu (0.500, 0.500, 0.500)
Sn (0.250, 0.250, 0.250)
Sn (0.750, 0.750, 0.750)
O (0.000, 0.000, 0.500)
O (0.000, 0.500, 0.000)
O (0.000, 0.500, 0.500)
O (0.500, 0.000, 0.000)
O (0.500, 0.000, 0.500)
O (0.500, 0.500, 0.000)

Computed properties:
The MP2020-corrected energy comes out at -7.125 eV/atom.

MP2020-corrected energy of number 4 (KEuSn2O6)? -7.125 eV/atom

Which value of MP2020-corrected energy does entry 3 give? -7.667 eV/atom

The lowest MP2020-corrected energy belongs to which entry? number 2